Na6Hf2Mg6SiS11O48: relaxed, PBE.

```
Na6Hf2Mg6SiS11O48
1.0
17.5535 0.0046 0.0023
-4.3864 7.5995 -0.0113
0.0030 -0.0321 22.7282
O Mg S Na Si Hf
144 18 33 18 3 6
Cartesian
12.2288 3.8326 20.9939 O
5.2853 1.2994 16.8941 O
3.6842 5.9737 6.9082 O
12.4524 4.0825 12.0298 O
7.7328 6.4404 22.0479 O
2.7789 7.3848 9.3251 O
14.2379 3.9818 3.1332 O
7.1633 0.1866 18.2754 O
12.5053 6.0899 13.3242 O
0.9885 3.7632 1.7355 O
3.3793 3.9122 14.3928 O
-0.6558 1.5995 4.4846 O
7.7982 3.7458 13.0953 O
-1.0574 6.4526 22.0441 O
3.7183 0.9425 14.4339 O
2.6595 2.3300 0.6783 O
-1.0194 3.6372 19.6224 O
-1.0035 6.3619 5.7992 O
9.4122 3.5127 17.2173 O
7.7679 6.3671 5.8594 O
11.5210 7.4391 9.3448 O
3.3364 1.1174 12.0456 O
12.5287 3.8373 5.5305 O
6.0120 2.3573 5.5318 O
7.0370 4.8639 8.2782 O
5.4372 3.9331 3.1051 O
10.5293 5.2564 22.0457 O
12.1206 1.1322 12.0320 O
5.0807 5.9993 18.2300 O
0.7133 3.4418 10.6828 O
-3.4022 6.2791 9.3678 O
14.8081 2.6670 20.9843 O
14.1999 1.1494 0.6899 O
11.5160 2.3604 16.8815 O
0.7027 6.5265 1.7524 O
11.5235 2.7036 9.5906 O
3.3567 6.1848 4.4704 O
7.7248 1.3956 6.9073 O
3.7174 1.0185 20.9908 O
3.6716 4.1117 11.9787 O
6.1087 7.3694 4.4732 O
12.4937 1.0138 20.9927 O
9.4366 1.4800 9.3068 O
9.6089 6.2294 17.1497 O
5.3159 6.2513 9.3283 O
6.0935 2.3023 12.0494 O
9.8575 1.3421 18.2339 O
12.2304 6.2328 20.6905 O
8.0868 3.4508 22.0407 O
7.1505 0.1237 2.0439 O
14.0566 1.3046 16.8921 O
9.4605 6.6214 8.3157 O
12.1285 6.2700 4.3813 O
7.8122 1.3251 13.3581 O
0.9613 1.3413 2.0441 O
-0.6842 3.4452 22.0443 O
8.1488 6.5777 13.0970 O
3.7328 6.0935 13.3109 O
7.7566 3.6395 19.6164 O
1.7307 4.8294 19.6711 O
9.8110 6.4767 10.7193 O
10.2558 5.1480 5.8277 O
15.9306 0.2119 2.0159 O
3.4494 6.2276 20.6965 O
13.8664 6.1257 2.0285 O
-3.3055 6.1885 15.8190 O
3.7249 4.0135 5.5381 O
13.8610 6.0048 18.2322 O
7.1436 4.9088 1.7375 O
0.7004 6.6515 8.2865 O
0.6840 1.4803 9.3132 O
10.5302 4.8246 19.6357 O
2.6615 2.7626 3.0841 O
9.4546 3.4613 10.6502 O
-1.6535 5.1586 17.2076 O
1.0818 1.3394 18.2344 O
7.1224 5.1584 17.2085 O
12.4911 0.9427 14.4288 O
5.4695 6.1880 15.8190 O
8.1447 1.4906 20.7109 O
1.0847 6.4625 10.7016 O
-2.6783 7.3973 4.4792 O
12.1939 1.1630 5.5363 O
1.6333 4.9189 13.0846 O
2.7399 2.3597 16.8806 O
-0.6226 6.5720 13.1059 O
10.4071 0.1496 13.4093 O
14.8719 2.2911 12.0576 O
13.8571 4.1336 0.7097 O
5.3177 3.8625 9.6125 O
9.4671 6.5661 1.7408 O
-0.6902 3.5918 5.8063 O
5.4279 1.1177 0.6982 O
0.6371 3.5095 17.2184 O
-1.6121 4.9036 1.7418 O
2.6472 7.3679 15.5780 O
0.7188 1.5668 15.8185 O
9.7306 3.7447 1.7523 O
8.1067 3.5483 5.8761 O
5.0202 6.0867 2.0415 O
16.5440 1.4134 6.8957 O
1.7669 0.2389 6.8926 O
6.1079 2.7209 14.4333 O
14.1347 3.8484 9.6009 O
11.4244 7.3717 15.5833 O
-0.6310 1.4874 20.7128 O
11.4452 2.3396 0.7247 O
2.7776 2.7210 9.6138 O
10.4821 0.2288 6.8879 O
16.5914 1.3254 13.3705 O
5.0827 1.0389 9.6297 O
7.0432 5.2550 10.6724 O
12.6222 6.0206 6.9751 O
8.1336 1.6221 4.5104 O
10.4084 4.9173 13.0958 O
9.4951 1.5716 15.8178 O
8.0715 6.6413 19.6333 O
11.3754 2.7162 3.1496 O
-0.9785 3.7424 13.1054 O
1.6269 5.2303 5.8262 O
15.9315 0.1948 18.2756 O
13.8771 0.9351 3.1100 O
12.1366 3.9232 14.4310 O
9.7245 1.3213 2.0370 O
1.7827 5.2410 22.0924 O
-1.7063 5.2273 10.6426 O
6.0325 2.6631 20.9705 O
13.7794 4.0595 16.8820 O
14.8802 2.7215 14.4372 O
-0.7048 6.6431 19.6338 O
9.7875 3.6411 8.2415 O
0.8363 6.2245 17.1497 O
-1.7626 4.8640 8.2139 O
1.0791 3.6826 8.2841 O
5.0011 4.0563 16.8769 O
3.4571 1.1942 5.4983 O
-2.7585 7.4129 20.6782 O
5.0402 4.1328 0.7061 O
1.6316 0.1441 13.4234 O
6.0215 7.4089 20.6816 O
14.8182 2.3625 5.5175 O
5.0842 0.9213 3.1057 O
3.4521 3.8227 20.9951 O
13.7940 1.0222 9.6162 O
13.1559 2.5354 4.1293 Mg
8.7962 0.0259 3.3510 Mg
4.3874 7.5654 14.8097 Mg
8.7677 5.0087 11.7617 Mg
-0.0638 4.9905 11.7068 Mg
4.3733 2.4580 10.9553 Mg
13.1959 7.5397 7.9907 Mg
13.1578 7.5654 14.7999 Mg
-0.0659 5.0899 0.3475 Mg
0.0458 5.0529 7.2017 Mg
8.8207 5.1168 18.5271 Mg
13.1864 2.5798 10.9138 Mg
4.4310 2.4763 22.3171 Mg
13.1331 2.4881 22.3240 Mg
8.7518 0.0110 7.9448 Mg
4.4003 2.5403 4.1560 Mg
8.7821 5.0589 0.3852 Mg
0.0360 5.1109 18.5189 Mg
11.8535 0.3023 13.2062 S
14.3990 0.3290 1.8784 S
2.5579 4.9893 20.8538 S
10.0179 2.2064 17.0189 S
5.6628 0.3147 1.8998 S
15.7518 2.5359 13.2110 S
11.2966 -0.0023 5.6796 S
1.8478 2.5470 1.8739 S
-1.2720 2.2170 5.7209 S
2.5888 0.0279 5.7128 S
1.2814 7.2899 9.4748 S
3.0716 0.2871 13.2234 S
7.4901 2.8808 20.8343 S
11.3262 4.9927 20.8459 S
5.7012 5.3921 17.0161 S
5.6867 4.7399 1.8950 S
-3.0756 5.3900 17.0140 S
-1.2925 2.8740 20.8345 S
1.2758 2.8152 9.4735 S
6.1945 5.0595 9.5060 S
11.8912 4.7423 13.2039 S
7.5301 7.2541 20.8431 S
-1.2527 7.2638 20.8314 S
-2.5670 5.0592 9.4565 S
1.2392 2.2015 17.0188 S
6.9731 2.5395 13.2085 S
10.0782 7.3126 9.5361 S
3.1031 5.3577 5.6761 S
7.4558 2.1717 5.6931 S
10.0613 2.8063 9.4948 S
14.4817 4.7277 1.8816 S
3.1102 4.7481 13.1879 S
10.5831 2.5347 1.8965 S
3.1559 5.0427 9.4253 Na
10.4269 7.3305 13.3846 Na
14.6945 4.8184 5.7567 Na
13.2092 2.5697 7.5895 Na
0.0173 5.0836 3.7674 Na
0.0269 5.0634 15.3008 Na
8.8569 0.0874 0.0602 Na
10.4551 2.7680 5.5586 Na
-4.2875 7.5677 11.2894 Na
13.1982 2.4502 19.0481 Na
4.3720 2.4528 7.5152 Na
8.8668 0.0661 11.3751 Na
4.4310 2.4479 19.0442 Na
1.6388 7.3232 13.3828 Na
13.1730 7.5654 22.6912 Na
2.8018 5.3149 1.8648 Na
8.7834 5.1081 3.6161 Na
8.8179 5.0708 15.3111 Na
1.8055 7.4679 16.9405 Si
10.5748 7.4752 16.9385 Si
11.9209 5.3349 5.7386 Si
8.6943 0.0032 19.3853 Hf
4.4280 2.4748 15.6646 Hf
13.0949 7.5541 3.3566 Hf
13.2049 2.4815 15.6561 Hf
17.4602 0.0002 19.3775 Hf
8.8076 5.1085 7.1403 Hf
```

Results
calculated formation energy = -2.448 eV/atom
total magnetic moment = 0.000 μB/cell
raw total energy = -6.41 eV/atom
space-group type = No. 1